1.
Density functional theory data (PBE+U) for an optimized crystal structure of Li6Co3Ni5O16.

Summary:
ΔH_f (0 K) = -1.41 eV/atom
crystal system = triclinic
M_tot = 9.012 μB per cell
VASP energy = -5.148 eV/atom
symmetry = P1, No. 1
corrected total energy (MP2020 scheme) = -6.10 eV per atom

Unit cell a=5.584 b=5.721 c=9.255 alpha=91.55 beta=90.35 gamma=119.07
Element x y z (fractional)
1 Li 0.000 0.000 0.000
2 Li 0.003 0.495 0.996
3 Li 0.165 0.824 0.501
4 Li 0.489 0.493 0.997
5 Li 0.658 0.824 0.501
6 Li 0.661 0.323 0.497
7 Co 0.000 0.495 0.731
8 Co 0.499 0.498 0.734
9 Co 0.663 0.329 0.236
10 Ni 0.000 0.001 0.733
11 Ni 0.156 0.315 0.461
12 Ni 0.167 0.829 0.232
13 Ni 0.498 0.999 0.958
14 Ni 0.661 0.829 0.233
15 O 0.146 0.820 0.850
16 O 0.176 0.351 0.847
17 O 0.317 0.628 0.616
18 O 0.318 0.183 0.612
19 O 0.350 0.702 0.108
20 O 0.360 0.163 0.104
21 O 0.502 0.006 0.344
22 O 0.503 0.480 0.349
23 O 0.670 0.818 0.848
24 O 0.671 0.354 0.839
25 O 0.802 0.163 0.102
26 O 0.821 0.645 0.622
27 O 0.823 0.647 0.128
28 O 0.862 0.182 0.612
29 O 0.979 0.482 0.350
30 O 0.982 0.965 0.351

2.
Density functional theory data (PBE+U) for an optimized crystal structure of Li4Mn3Fe2Ni3O16.

Summary:
ΔH_f (0 K) = -1.67 eV/atom
crystal system = triclinic
M_tot = 21.002 μB per cell
VASP energy = -5.968 eV/atom
symmetry = P1, No. 1
corrected total energy (MP2020 scheme) = -6.97 eV per atom

Unit cell a=5.784 b=5.791 c=9.461 alpha=89.89 beta=89.48 gamma=60.31
Element x y z (fractional)
1 Li 0.000 0.000 0.000
2 Li 0.001 0.004 0.498
3 Li 0.334 0.324 0.108
4 Li 0.670 0.667 0.601
5 Mn 0.169 0.659 0.782
6 Mn 0.659 0.167 0.781
7 Mn 0.826 0.831 0.282
8 Fe 0.319 0.342 0.502
9 Fe 0.660 0.657 0.007
10 Ni 0.167 0.170 0.780
11 Ni 0.338 0.827 0.280
12 Ni 0.829 0.338 0.283
13 O 0.034 0.502 0.653
14 O 0.153 0.170 0.392
15 O 0.158 0.681 0.391
16 O 0.327 0.815 0.901
17 O 0.334 0.336 0.889
18 O 0.477 0.040 0.659
19 O 0.485 0.480 0.663
20 O 0.519 0.956 0.161
21 O 0.527 0.504 0.163
22 O 0.675 0.161 0.394
23 O 0.681 0.653 0.390
24 O 0.834 0.836 0.893
25 O 0.839 0.319 0.892
26 O 0.961 0.517 0.162
27 O 0.980 0.013 0.187
28 O 0.998 0.994 0.687

3.
Density functional theory data (PBE+U) for an optimized crystal structure of BaFe4Sn2O11.

Summary:
ΔH_f (0 K) = -1.96 eV/atom
crystal system = orthorhombic
M_tot = 40.002 μB per cell
VASP energy = -6.500 eV/atom
symmetry = Cmcm, No. 63
corrected total energy (MP2020 scheme) = -7.42 eV per atom

Unit cell a=6.062 b=6.062 c=13.769 alpha=90.00 beta=90.00 gamma=119.20
Element x y z (fractional)
1 Ba 0.164 0.836 0.750
2 Ba 0.836 0.164 0.250
3 Fe 0.000 0.000 0.000
4 Fe 0.000 0.000 0.500
5 Fe 0.164 0.836 0.250
6 Fe 0.498 0.502 0.149
7 Fe 0.498 0.502 0.351
8 Fe 0.502 0.498 0.649
9 Fe 0.502 0.498 0.851
10 Fe 0.836 0.164 0.750
11 Sn 0.000 0.500 0.000
12 Sn 0.000 0.500 0.500
13 Sn 0.500 0.000 0.000
14 Sn 0.500 0.000 0.500
15 O 0.155 0.323 0.081
16 O 0.155 0.323 0.419
17 O 0.165 0.835 0.084
18 O 0.165 0.835 0.416
19 O 0.199 0.353 0.750
20 O 0.323 0.155 0.581
21 O 0.323 0.155 0.919
22 O 0.327 0.673 0.583
23 O 0.327 0.673 0.917
24 O 0.348 0.652 0.250
25 O 0.353 0.199 0.250
26 O 0.647 0.801 0.750
27 O 0.652 0.348 0.750
28 O 0.673 0.327 0.083
29 O 0.673 0.327 0.417
30 O 0.677 0.845 0.081
31 O 0.677 0.845 0.419
32 O 0.801 0.647 0.250
33 O 0.835 0.165 0.584
34 O 0.835 0.165 0.916
35 O 0.845 0.677 0.581
36 O 0.845 0.677 0.919

Look up the corrected total energy (MP2020 scheme) of the first one.
-6.10 eV per atom